No. 1
# RbHoO2 PBE-GGA optimized geometry
data_RbHoO2
_chemical_formula_sum 'Rb3 Ho3 O6'
_space_group_name_H-M_alt 'R -3 m'
_space_group_IT_number 166
_space_group_name_Hall '-R 3 2"'
_cell_length_a 3.4934
_cell_length_b 3.4934
_cell_length_c 19.6682
_cell_angle_alpha 90.00
_cell_angle_beta 90.00
_cell_angle_gamma 120.00
loop_
_atom_site_label
_atom_site_fract_x
_atom_site_fract_y
_atom_site_fract_z
Rb1 0.0000 0.0000 0.0000
Ho1 0.0000 0.0000 0.5000
O1 0.0000 0.0000 0.2248
# Energy relative to the elements ... -294.87 kJ/mol of atoms

---

No. 2
# Ho6ReO12 PBE-GGA optimized geometry
data_Ho6ReO12
_chemical_formula_sum 'Ho18 Re3 O36'
_space_group_name_H-M_alt 'R -3'
_space_group_IT_number 148
_space_group_name_Hall '-R 3'
_cell_length_a 9.8053
_cell_length_b 9.8053
_cell_length_c 9.3461
_cell_angle_alpha 90.00
_cell_angle_beta 90.00
_cell_angle_gamma 120.00
loop_
_atom_site_label
_atom_site_fract_x
_atom_site_fract_y
_atom_site_fract_z
Ho1 0.0415 0.7872 0.1432
Re1 0.0000 0.0000 0.5000
O1 0.0323 0.8091 0.9002
O2 0.0391 0.8539 0.3879
# Energy relative to the elements ... -351.44 kJ/mol of atoms

---

No. 3
# Ho3ReO7 PBE-GGA optimized geometry
data_Ho3ReO7
_chemical_formula_sum 'Ho12 Re4 O28'
_space_group_name_H-M_alt 'C m c m'
_space_group_IT_number 63
_space_group_name_Hall '-C 2c 2'
_cell_length_a 10.537
_cell_length_b 7.347
_cell_length_c 7.390
_cell_angle_alpha 90.00
_cell_angle_beta 90.00
_cell_angle_gamma 90.00
loop_
_atom_site_label
_atom_site_fract_x
_atom_site_fract_y
_atom_site_fract_z
Ho1 0.000 0.000 0.000
Ho2 0.230 0.292 0.250
Re1 0.000 0.500 0.000
O1 0.000 0.430 0.250
O2 0.129 0.305 0.536
O3 0.133 0.025 0.250
# Energy relative to the elements ... -323.96 kJ/mol of atoms
# Excess energy over the best structure of this formula in the dataset ... 21 meV per atom

---

No. 4
# Ho3ReO7 PBE-GGA optimized geometry
data_Ho3ReO7
_chemical_formula_sum 'Ho12 Re4 O28'
_space_group_name_H-M_alt 'C 2 2 21'
_space_group_IT_number 20
_cell_length_a 7.521
_cell_length_b 10.485
_cell_length_c 7.391
_cell_angle_alpha 90.00
_cell_angle_beta 90.00
_cell_angle_gamma 90.00
loop_
_space_group_symop_operation_xyz
'x,y,z'
'-x,-y,z+1/2'
'x,-y,-z'
'-x,y,-z+1/2'
'x+1/2,y+1/2,z'
'-x+1/2,-y+1/2,z+1/2'
'x+1/2,-y+1/2,-z'
'-x+1/2,y+1/2,-z+1/2'
loop_
_atom_site_label
_atom_site_fract_x
_atom_site_fract_y
_atom_site_fract_z
Ho1 0.035 0.000 0.000
Ho2 0.232 0.267 0.757
Re1 0.001 0.500 0.000
O1 0.000 0.130 0.250
O2 0.000 0.138 0.750
O3 0.000 0.427 0.750
O4 0.182 0.372 0.038
O5 0.204 0.378 0.476
# Energy relative to the elements ... -326.00 kJ/mol of atoms
# Excess energy over the best structure of this formula in the dataset ... 0 meV per atom

---

No. 5
# Sr2HoReO6 PBE-GGA optimized geometry
data_Sr2HoReO6
_chemical_formula_sum 'Sr8 Ho4 Re4 O24'
_space_group_name_H-M_alt 'F m -3 m'
_space_group_IT_number 225
_space_group_name_Hall '-F 4 2 3'
_cell_length_a 8.329
_cell_length_b 8.329
_cell_length_c 8.329
_cell_angle_alpha 90.00
_cell_angle_beta 90.00
_cell_angle_gamma 90.00
loop_
_atom_site_label
_atom_site_fract_x
_atom_site_fract_y
_atom_site_fract_z
Sr1 0.250 0.250 0.250
Ho1 0.000 0.000 0.000
Re1 0.000 0.000 0.500
O1 0.000 0.000 0.263
# Energy relative to the elements ... -291.47 kJ/mol of atoms

---

No. 6
# Sr3HoRhO6 PBE-GGA optimized geometry
data_Sr3HoRhO6
_chemical_formula_sum 'Sr18 Ho6 Rh6 O36'
_space_group_name_H-M_alt 'R -3 c'
_space_group_IT_number 167
_space_group_name_Hall '-R 3 2"c'
_cell_length_a 9.8731
_cell_length_b 9.8731
_cell_length_c 11.4047
_cell_angle_alpha 90.00
_cell_angle_beta 90.00
_cell_angle_gamma 120.00
loop_
_atom_site_label
_atom_site_fract_x
_atom_site_fract_y
_atom_site_fract_z
Sr1 0.0000 0.3688 0.2500
Ho1 0.0000 0.0000 0.2500
Rh1 0.0000 0.0000 0.0000
O1 0.0222 0.1786 0.3864
# Energy relative to the elements ... -283.37 kJ/mol of atoms